Record 1
# BaSm2Sc2O7

A geometry-optimized BaSm2Sc2O7 structure (PBE, the Materials Project database).

Values from the calculation:
- energy of formation (eV/f.u.) = -45.325

Lattice parameters (Å, degrees): 5.838 5.838 20.236 90.00 90.00 90.00
Element x y z (fractional)
O 0.500 0.500 0.632
Sm 0.781 0.219 0.685
O 0.181 0.181 0.712
O 0.000 0.500 0.884
O 0.000 0.500 0.384
O 0.500 0.500 0.368
O 0.181 0.181 0.288
Ba 0.762 0.238 0.500
O 0.000 0.000 0.132
Sm 0.219 0.781 0.315
Sc 0.740 0.740 0.397
O 0.213 0.787 0.000
O 0.500 0.000 0.116
O 0.500 0.500 0.095
O 0.000 0.000 0.595
Sc 0.260 0.260 0.603
O 0.681 0.319 0.212
O 0.713 0.713 0.500
O 0.681 0.319 0.788
O 0.500 0.000 0.616
O 0.000 0.500 0.616
O 0.000 0.000 0.868
Sm 0.281 0.281 0.815
O 0.819 0.819 0.288
Sc 0.260 0.260 0.397
Sc 0.740 0.740 0.603
O 0.787 0.213 0.000
Sm 0.719 0.719 0.815
O 0.319 0.681 0.788
O 0.287 0.287 0.500
Sm 0.281 0.281 0.185
O 0.000 0.000 0.405
Sc 0.760 0.240 0.103
O 0.319 0.681 0.212
Sc 0.240 0.760 0.897
Sm 0.781 0.219 0.315
O 0.500 0.000 0.384
Sc 0.240 0.760 0.103
Sm 0.719 0.719 0.185
O 0.819 0.819 0.712
O 0.000 0.500 0.116
Sc 0.760 0.240 0.897
Ba 0.238 0.762 0.500
Ba 0.738 0.738 0.000
O 0.500 0.000 0.884
Ba 0.262 0.262 0.000
O 0.500 0.500 0.905
Sm 0.219 0.781 0.685



Record 2
# Nd2Co5Cu5

A geometry-optimized Nd2Co5Cu5 structure (PBE, the Materials Project database).

Values from the calculation:
- total magnetic moment (μB/f.u.) = 5.480
- energy of formation (eV/f.u.) = -0.248

Lattice parameters (Å, degrees): 4.066 5.081 8.666 90.00 90.00 90.00
Element x y z (fractional)
Co 0.000 0.500 0.346
Cu 0.500 0.000 0.000
Nd 0.000 0.500 0.000
Co 0.000 0.000 0.164
Cu 0.500 0.750 0.251
Cu 0.500 0.250 0.749
Co 0.000 0.500 0.654
Co 0.500 0.500 0.500
Co 0.000 0.000 0.836
Nd 0.000 0.000 0.500
Cu 0.500 0.750 0.749
Cu 0.500 0.250 0.251